Record 1
ScNbRu2, relaxed, DFT r2SCAN; formation energy = -0.575 eV per atom; space group = No. 225
1.0
3.542 -2.470 1.246
-0.525 -3.360 2.938
0.362 -4.263 -1.375
Ru Nb Sc
2 1 1
Cartesian
1.689 -5.047 1.404 Ru
3.904 -6.733 -0.129 Ru
0.845 -2.523 0.702 Nb
2.534 -7.570 2.107 Sc


Record 2
Ba6Mg7H26, relaxed, DFT r2SCAN; formation energy = -0.469 eV per atom; space group = No. 71
1.0
-2.899 5.970 7.472
2.899 -5.970 7.472
2.899 5.970 -7.472
Ba H Mg
6 26 7
Cartesian
2.899 0.000 5.323 Ba
2.899 2.872 2.205 Ba
0.000 3.098 5.267 Ba
0.000 3.098 9.677 Ba
0.000 5.970 2.149 Ba
2.899 2.872 -2.205 Ba
2.899 5.970 -6.177 H
-1.369 4.036 7.472 H
1.563 4.636 -3.807 H
0.000 5.970 6.145 H
0.000 0.000 13.649 H
1.369 4.036 7.472 H
1.451 -1.369 7.472 H
1.448 7.339 0.000 H
1.563 7.304 -3.807 H
1.451 1.369 7.472 H
1.448 4.601 0.000 H
2.899 -2.688 5.577 H
1.563 7.304 3.807 H
1.335 -1.334 11.279 H
4.268 1.934 0.000 H
0.000 0.000 9.396 H
2.899 0.000 1.327 H
2.899 2.688 5.577 H
0.000 8.658 1.895 H
1.335 1.334 11.279 H
1.336 1.334 3.665 H
1.563 4.636 3.807 H
2.899 5.970 -1.924 H
1.530 1.934 0.000 H
0.000 3.282 1.895 H
1.336 -1.334 3.665 H
0.000 0.000 3.259 Mg
2.899 5.970 0.000 Mg
0.000 3.082 0.000 Mg
2.899 5.970 4.213 Mg
4.325 0.000 0.000 Mg
-1.426 5.970 7.472 Mg
2.899 2.888 7.472 Mg